Rb2NbF6: relaxed, meta-GGA r2SCAN.

The structure in POSCAR format:
```
Rb2NbF6
1.0
6.149 0.000 0.000
-3.075 5.325 0.000
0.000 0.000 4.605
Rb Nb F
2 1 6
Cartesian
0.000 3.550 0.940
3.075 1.775 3.665
0.000 0.000 2.302
0.000 1.727 3.327
-1.579 4.462 3.327
1.496 0.864 1.278
1.579 4.462 3.327
4.653 0.864 1.278
3.075 3.598 1.278
```


Cs2Mo4O13: relaxed, meta-GGA r2SCAN.

The structure in POSCAR format:
```
Cs2Mo4O13
1.0
8.434 0.000 0.000
-2.921 8.186 0.000
-2.419 -3.975 9.350
Cs Mo O
4 8 26
Cartesian
-0.463 -0.176 2.868
-0.815 4.293 5.488
3.909 -0.082 3.862
3.558 4.387 6.482
-2.026 0.665 6.843
-0.951 5.647 0.465
0.739 -1.516 9.040
1.783 3.636 2.687
1.312 0.575 6.663
2.356 5.727 0.310
4.046 -1.436 8.885
5.121 3.547 2.507
-3.156 4.937 3.492
-3.050 1.815 6.127
-4.459 2.584 8.900
-3.250 0.007 8.278
-0.797 6.566 1.897
-1.772 2.048 8.694
-0.404 1.377 6.198
0.669 -2.863 8.010
-0.317 -0.229 8.154
0.654 2.561 3.370
0.889 4.521 1.287
1.248 -0.715 5.522
2.128 2.069 1.041
0.966 2.142 8.309
1.847 4.926 3.829
2.206 -0.310 8.063
2.440 1.650 5.980
3.411 4.440 1.196
2.426 7.074 1.340
3.498 2.834 3.152
4.867 2.163 0.657
3.892 -2.355 7.454
6.344 4.205 1.072
7.553 1.628 0.451
6.144 2.396 3.223
6.251 -0.725 5.858
```


TiGaCu2: relaxed, meta-GGA r2SCAN.

The structure in POSCAR format:
```
TiGaCu2
1.0
0.000 2.982 2.982
2.982 0.000 2.982
2.982 2.982 0.000
Ti Ga Cu
1 1 2
Cartesian
0.000 0.000 0.000
2.982 2.982 2.982
1.491 1.491 1.491
4.473 4.473 4.473
```


AlInBr4: relaxed, meta-GGA r2SCAN.

The structure in POSCAR format:
```
AlInBr4
1.0
8.893 0.000 0.000
0.000 7.532 0.000
-3.538 0.000 12.694
Al In Br
4 4 16
Cartesian
0.323 1.624 5.754
-1.446 5.908 12.101
6.801 1.624 0.593
5.032 5.908 6.940
-2.653 2.960 9.520
-0.884 4.572 3.173
3.562 0.621 3.173
1.793 6.912 9.520
0.066 2.003 1.317
-1.703 5.530 7.664
-0.706 0.497 11.567
1.063 7.035 5.220
0.410 1.924 8.056
2.179 5.608 1.709
1.717 3.172 4.745
-0.051 4.361 11.092
5.406 3.172 1.602
3.638 4.361 7.949
3.176 1.924 10.985
4.945 5.608 4.638
4.292 0.497 7.474
6.061 7.035 1.127
7.058 2.003 5.030
5.289 5.530 11.377
```


Cr2CuO4: relaxed, meta-GGA r2SCAN.

The structure in POSCAR format:
```
Cr2CuO4
1.0
0.000 4.150 4.150
4.150 0.000 4.150
4.150 4.150 0.000
Cr Cu O
4 2 8
Cartesian
0.000 0.000 0.000
2.075 2.075 0.000
2.075 0.000 2.075
0.000 2.075 2.075
3.113 3.113 3.113
5.188 5.188 5.188
6.332 4.043 4.043
1.968 1.968 1.968
4.257 4.257 1.968
4.257 1.968 4.257
4.043 6.332 4.043
4.043 4.043 6.332
6.332 6.332 6.332
1.968 4.257 4.257
```


Zr2InAu2: relaxed, meta-GGA r2SCAN.

The structure in POSCAR format:
```
Zr2InAu2
1.0
7.577 0.000 0.000
0.000 7.577 0.000
0.000 0.000 7.091
Zr In Au
8 4 8
Cartesian
1.118 1.118 0.000
1.485 1.485 3.546
2.303 5.274 0.000
2.671 4.906 3.546
4.906 2.671 3.546
5.274 2.303 0.000
6.092 6.092 3.546
6.459 6.459 0.000
0.000 3.789 1.773
0.000 3.789 5.318
3.789 0.000 1.773
3.789 0.000 5.318
0.980 6.597 2.092
0.980 6.597 4.999
2.809 2.809 1.453
2.809 2.809 5.638
4.768 4.768 1.453
4.768 4.768 5.638
6.597 0.980 2.092
6.597 0.980 4.999
```


Mn2CdO4: relaxed, meta-GGA r2SCAN.

The structure in POSCAR format:
```
Mn2CdO4
1.0
-2.922 2.922 4.919
2.922 -2.922 4.919
2.922 2.922 -4.919
Mn Cd O
4 2 8
Cartesian
0.000 0.000 0.000
1.461 1.461 -2.459
1.461 -1.461 2.459
0.000 2.922 0.000
2.922 1.461 1.230
0.000 1.461 3.689
2.922 2.724 -2.618
2.922 -0.199 2.618
1.262 1.461 -0.159
1.660 -1.461 4.760
1.262 4.384 0.159
1.660 1.461 5.078
0.000 3.121 2.300
0.000 0.199 7.537
```


MgP4O11: relaxed, meta-GGA r2SCAN.

The structure in POSCAR format:
```
MgP4O11
1.0
5.341 0.000 0.000
0.000 22.244 0.000
-2.642 0.000 6.949
Mg P O
4 16 44
Cartesian
-0.957 2.544 2.545
-2.278 8.578 6.020
4.976 13.666 0.929
3.655 19.700 4.404
-0.504 1.590 5.609
0.817 9.532 2.134
0.267 15.092 3.866
1.588 18.274 0.391
1.592 0.802 1.411
0.271 10.320 4.886
-0.433 15.465 6.747
0.888 17.901 3.273
1.810 4.343 3.676
3.131 6.779 0.202
2.428 11.924 2.064
1.107 21.442 5.538
1.110 3.970 6.558
2.432 7.152 3.083
1.881 12.712 4.815
3.202 20.654 1.341
-1.279 1.669 4.384
0.043 9.453 0.909
-0.588 14.583 2.801
-1.909 18.784 6.275
0.893 15.164 0.368
-0.428 18.202 3.843
0.337 1.035 2.121
-0.984 10.087 5.596
-1.357 1.008 6.772
-0.035 10.114 3.297
-0.576 15.437 5.127
0.745 17.929 1.653
1.161 12.602 1.759
-0.160 20.764 5.234
0.586 3.627 3.317
-0.735 7.495 6.791
-0.046 3.011 6.102
1.276 8.111 2.627
0.527 11.927 4.879
1.848 21.439 1.405
1.160 16.323 3.506
2.481 17.044 0.031
0.218 5.200 6.918
1.539 5.922 3.443
0.850 0.805 5.544
2.172 10.317 2.070
1.423 14.134 4.322
2.744 19.233 0.847
3.433 14.749 0.158
2.112 18.618 3.632
2.858 1.480 1.715
1.537 9.642 5.190
1.953 4.315 5.296
3.275 6.807 1.822
2.734 12.130 3.652
4.055 21.236 0.178
3.683 12.157 1.353
2.362 21.209 4.828
3.127 4.042 3.106
1.806 7.080 6.581
4.607 3.460 0.674
3.286 7.662 4.148
2.656 12.791 6.040
3.977 20.575 2.565
```


ΔH_f (0 K) readings, ordered: -3.179, -2.215, -0.261, -1.161, -1.952, -0.624, -1.894, -2.435 eV per atom